Material: SrS2
Method: DFT, PBE-GGA
State: optimized geometry

Properties
The formation energy from the elements is -1.72 eV per atom.

The structure in extended XYZ format:
```
6
Lattice="-3.070 3.070 3.874 3.070 -3.070 3.874 3.070 3.070 -3.874" Properties=species:S:1:pos:R:3 pbc="T T T"
S 3.819 0.749 0.000
S -0.749 2.321 3.874
Sr 0.000 0.000 5.812
S 0.749 2.321 0.000
Sr 0.000 0.000 1.937
S 2.321 0.749 3.874
```